Record 1
# Na2Cl

Crystalline Na2Cl at its relaxed geometry (PBE, Materials Project).

Unit cell a=7.3704 b=7.3704 c=4.0274 alpha=90.00 beta=90.00 gamma=128.26
Last column: nearest neighbours and their distance in Å.
Atoms (fractional coordinates):
Na1 0.0000 0.0000 0.0000  4 Na 3.29
Na2 0.1964 0.8036 0.5000  2 Cl 2.78
Na3 0.5000 0.5000 0.5000  4 Cl 2.92
Na4 0.8036 0.1964 0.5000  2 Cl 2.78
Cl1 0.3406 0.6594 0.0000  4 Na 2.78-2.92
Cl2 0.6594 0.3406 0.0000  4 Na 2.78-2.92

Summary:
* excess energy over the best structure of this formula in the dataset: 0.129 eV/atom
* energy of formation from the pure elements: -1174 meV per atom
* theoretical density: 1.57 g/cm3
* DFT total energy: -0.091 hartree per atom


Record 2
# NaCl7

Crystalline NaCl7 at its relaxed geometry (PBE, Materials Project).

Unit cell a=6.1432 b=6.1432 c=6.1432 alpha=90.00 beta=90.00 gamma=90.00
Last column: nearest neighbours and their distance in Å.
Atoms (fractional coordinates):
Na1 0.0000 0.0000 0.0000  12 Cl 3.24
Cl1 0.0000 0.1671 0.5000  1 Cl 2.05
Cl2 0.0000 0.8329 0.5000  1 Cl 2.05
Cl3 0.1671 0.5000 0.0000  1 Cl 2.05
Cl4 0.5000 0.0000 0.1671  1 Cl 2.05
Cl5 0.5000 0.0000 0.8329  1 Cl 2.05
Cl6 0.5000 0.5000 0.5000  12 Cl 3.69
Cl7 0.8329 0.5000 0.0000  1 Cl 2.05

Summary:
* energy of formation from the pure elements: -710 meV per atom
* theoretical density: 1.94 g/cm3
* DFT total energy: -0.072 hartree per atom


What is the energy of formation from the pure elements in the first record?
-1174 meV per atom